Material: Li3CoNi3O8
Method: DFT, PBE with a Hubbard U
State: relaxed

a = 5.679 Å, b = 5.697 Å, c = 9.270 Å
α = 90.03°, β = 90.11°, γ = 119.70°
Positions (direct):
Li (0.000, 0.000, 0.000)
Li (0.010, 0.505, 0.000)
Li (0.333, 0.664, 0.500)
Li (0.347, 0.174, 0.501)
Li (0.503, 0.008, 0.001)
Li (0.836, 0.677, 0.500)
Co (0.505, 0.506, 0.039)
Co (0.840, 0.173, 0.538)
Ni (0.008, 0.500, 0.266)
Ni (0.337, 0.664, 0.765)
Ni (0.347, 0.178, 0.766)
Ni (0.511, 0.015, 0.267)
Ni (0.832, 0.673, 0.766)
Ni (0.999, 0.003, 0.266)
O (0.020, 0.509, 0.640)
O (0.134, 0.299, 0.404)
O (0.171, 0.838, 0.366)
O (0.172, 0.837, 0.865)
O (0.209, 0.339, 0.903)
O (0.326, 0.658, 0.140)
O (0.350, 0.164, 0.140)
O (0.505, 0.019, 0.639)
O (0.505, 0.507, 0.656)
O (0.634, 0.801, 0.903)
O (0.668, 0.373, 0.905)
O (0.670, 0.878, 0.402)
O (0.710, 0.340, 0.403)
O (0.841, 0.171, 0.161)
O (0.842, 0.686, 0.138)
O (0.993, 0.994, 0.640)

Calculated values
The space group is P1, No. 1. The total energy after the MP2020 corrections is -6.02 eV per atom. As for the polymorph energy (0 for the lowest one): 54 meV per atom. For the formation energy, the calculation gives -132.5 kJ/mol of atoms. As for the calculated volume: 260.5 Å³ per cell.